No. 1
# Na6NiO4, optimized geometry, DFT GGA+U
data_Na6NiO4
_cell_length_a 7.4600
_cell_length_b 9.2904
_cell_length_c 9.2898
_cell_angle_alpha 107.95
_cell_angle_beta 90.00
_cell_angle_gamma 90.00
_space_group_name_H-M_alt 'P 1'
_space_group_IT_number 1
loop_
_space_group_symop_operation_xyz
'x,y,z'
loop_
_atom_site_label
_atom_site_type_symbol
_atom_site_fract_x
_atom_site_fract_y
_atom_site_fract_z
Na1 Na 0.2501 0.2024 0.4524
Na2 Na 0.2501 0.7039 0.9539
Na3 Na 0.2501 0.9533 0.2033
Na4 Na 0.2500 0.4528 0.7029
Na5 Na 0.7500 0.7961 0.5477
Na6 Na 0.7500 0.2977 0.0462
Na7 Na 0.7500 0.0480 0.7959
Na8 Na 0.7500 0.5460 0.2979
Na9 Na 0.5380 0.3551 0.3939
Na10 Na 0.5361 0.8569 0.8929
Na11 Na 0.9623 0.3552 0.3938
Na12 Na 0.9641 0.8570 0.8928
Na13 Na 0.5377 0.1438 0.6053
Na14 Na 0.5359 0.6427 0.1070
Na15 Na 0.9620 0.1440 0.6051
Na16 Na 0.9640 0.6429 0.1069
Na17 Na 0.0371 0.8574 0.3944
Na18 Na 0.0380 0.3569 0.8928
Na19 Na 0.4627 0.8572 0.3945
Na20 Na 0.4618 0.3568 0.8930
Na21 Na 0.0382 0.6430 0.6069
Na22 Na 0.0374 0.1446 0.1072
Na23 Na 0.4622 0.6427 0.6070
Na24 Na 0.4629 0.1444 0.1073
Ni1 Ni 0.7496 0.5023 0.7523
Ni2 Ni 0.2501 0.5023 0.2531
Ni3 Ni 0.7498 0.9973 0.2473
Ni4 Ni 0.2499 0.0025 0.7519
O1 O 0.2501 0.9656 0.9625
O2 O 0.2502 0.4636 0.4616
O3 O 0.9925 0.0887 0.3386
O4 O 0.9974 0.5889 0.8388
O5 O 0.5076 0.0887 0.3387
O6 O 0.5027 0.5888 0.8389
O7 O 0.2499 0.2114 0.7135
O8 O 0.2500 0.7126 0.2157
O9 O 0.7500 0.7871 0.2857
O10 O 0.7499 0.2896 0.7817
O11 O 0.0070 0.9105 0.6605
O12 O 0.0072 0.4107 0.1605
O13 O 0.4928 0.9104 0.6606
O14 O 0.4928 0.4105 0.1606
O15 O 0.7501 0.0358 0.0370
O16 O 0.7502 0.5317 0.5396
# offset from the most stable computed form	0.021	eV per atom
# density	2.8	g cm⁻³
# total moment	0.00	μB per formula unit
# formation energy from the elements	-1.369	eV per atom
# raw total energy	-173.11	eV/cell

=====

No. 2
# NaLiV2O6, optimized geometry, DFT GGA+U
data_NaLiV2O6
_cell_length_a 6.9555
_cell_length_b 6.9555
_cell_length_c 5.9118
_cell_angle_alpha 75.30
_cell_angle_beta 75.30
_cell_angle_gamma 83.23
_space_group_name_H-M_alt 'P 1'
_space_group_IT_number 1
loop_
_space_group_symop_operation_xyz
'x,y,z'
loop_
_atom_site_label
_atom_site_type_symbol
_atom_site_fract_x
_atom_site_fract_y
_atom_site_fract_z
Na1 Na 0.2865 0.7135 0.7500
Na2 Na 0.7135 0.2865 0.2500
Li1 Li 0.9120 0.0880 0.7500
Li2 Li 0.0880 0.9120 0.2500
V1 V 0.1961 0.3800 0.2557
V2 V 0.6200 0.8039 0.2443
V3 V 0.3800 0.1961 0.7557
V4 V 0.8039 0.6200 0.7443
O1 O 0.9786 0.7897 0.6442
O2 O 0.6441 0.6459 0.5348
O3 O 0.6119 0.0926 0.7031
O4 O 0.2103 0.0214 0.8558
O5 O 0.9074 0.3881 0.7969
O6 O 0.6459 0.6441 0.0348
O7 O 0.0214 0.2103 0.3558
O8 O 0.3559 0.3541 0.4652
O9 O 0.3881 0.9074 0.2969
O10 O 0.7897 0.9786 0.1442
O11 O 0.0926 0.6119 0.2031
O12 O 0.3541 0.3559 0.9652
# offset from the most stable computed form	0.011	eV per atom
# density	2.8	g cm⁻³
# total moment	0.00	μB per formula unit
# formation energy from the elements	-2.392	eV per atom
# raw total energy	-134.98	eV/cell

=====

No. 3
# LaCrFeO6, optimized geometry, DFT GGA+U
data_LaCrFeO6
_cell_length_a 5.4791
_cell_length_b 5.3332
_cell_length_c 9.3163
_cell_angle_alpha 55.61
_cell_angle_beta 90.00
_cell_angle_gamma 90.00
_space_group_name_H-M_alt 'P 1'
_space_group_IT_number 1
loop_
_space_group_symop_operation_xyz
'x,y,z'
loop_
_atom_site_label
_atom_site_type_symbol
_atom_site_fract_x
_atom_site_fract_y
_atom_site_fract_z
La1 La 0.2121 0.7461 0.2460
La2 La 0.7879 0.7461 0.7460
Cr1 Cr 0.7306 0.5018 0.4888
Cr2 Cr 0.2694 0.5018 0.9888
Fe1 Fe 0.7499 0.9953 0.9926
Fe2 Fe 0.2501 0.9953 0.4926
O1 O 0.2500 0.7786 0.7636
O2 O 0.0259 0.2700 0.9830
O3 O 0.0133 0.7049 0.5262
O4 O 0.9867 0.7049 0.0262
O5 O 0.9741 0.2700 0.4830
O6 O 0.7500 0.7786 0.2636
O7 O 0.7434 0.2037 0.7434
O8 O 0.5422 0.7340 0.5293
O9 O 0.5135 0.3049 0.9773
O10 O 0.4865 0.3049 0.4773
O11 O 0.4578 0.7340 0.0293
O12 O 0.2566 0.2037 0.2434
# density	5.1	g cm⁻³
# total moment	5.00	μB per formula unit
# formation energy from the elements	-2.103	eV per atom
# raw total energy	-126.59	eV/cell

=====

No. 4
# SmV2BiO8, optimized geometry, DFT GGA+U
data_SmV2BiO8
_cell_length_a 6.1447
_cell_length_b 6.1447
_cell_length_c 6.1447
_cell_angle_alpha 106.12
_cell_angle_beta 106.12
_cell_angle_gamma 116.40
_space_group_name_H-M_alt 'P 1'
_space_group_IT_number 1
loop_
_space_group_symop_operation_xyz
'x,y,z'
loop_
_atom_site_label
_atom_site_type_symbol
_atom_site_fract_x
_atom_site_fract_y
_atom_site_fract_z
Sm1 Sm 0.2500 0.7500 0.5000
V1 V 0.7500 0.2500 0.5000
V2 V 0.5000 0.5000 0.0000
Bi1 Bi 0.0000 0.0000 0.0000
O1 O 0.9240 0.6042 0.6801
O2 O 0.4883 0.6711 0.8172
O3 O 0.8539 0.6711 0.1828
O4 O 0.9240 0.2439 0.3199
O5 O 0.3289 0.1461 0.8172
O6 O 0.7561 0.0760 0.6801
O7 O 0.3958 0.0760 0.3199
O8 O 0.3289 0.5117 0.1828
# density	5.5	g cm⁻³
# total moment	0.00	μB per formula unit
# formation energy from the elements	-2.670	eV per atom
# raw total energy	-89.50	eV/cell

=====

Which formula does entry 2 have? NaLiV2O6

=====

What did the second record say?
# NaLiV2O6, optimized geometry, DFT GGA+U
data_NaLiV2O6
_cell_length_a 6.9555
_cell_length_b 6.9555
_cell_length_c 5.9118
_cell_angle_alpha 75.30
_cell_angle_beta 75.30
_cell_angle_gamma 83.23
_space_group_name_H-M_alt 'P 1'
_space_group_IT_number 1
loop_
_space_group_symop_operation_xyz
'x,y,z'
loop_
_atom_site_label
_atom_site_type_symbol
_atom_site_fract_x
_atom_site_fract_y
_atom_site_fract_z
Na1 Na 0.2865 0.7135 0.7500
Na2 Na 0.7135 0.2865 0.2500
Li1 Li 0.9120 0.0880 0.7500
Li2 Li 0.0880 0.9120 0.2500
V1 V 0.1961 0.3800 0.2557
V2 V 0.6200 0.8039 0.2443
V3 V 0.3800 0.1961 0.7557
V4 V 0.8039 0.6200 0.7443
O1 O 0.9786 0.7897 0.6442
O2 O 0.6441 0.6459 0.5348
O3 O 0.6119 0.0926 0.7031
O4 O 0.2103 0.0214 0.8558
O5 O 0.9074 0.3881 0.7969
O6 O 0.6459 0.6441 0.0348
O7 O 0.0214 0.2103 0.3558
O8 O 0.3559 0.3541 0.4652
O9 O 0.3881 0.9074 0.2969
O10 O 0.7897 0.9786 0.1442
O11 O 0.0926 0.6119 0.2031
O12 O 0.3541 0.3559 0.9652
# offset from the most stable computed form	0.011	eV per atom
# density	2.8	g cm⁻³
# total moment	0.00	μB per formula unit
# formation energy from the elements	-2.392	eV per atom
# raw total energy	-134.98	eV/cell